Entry 1:
Compound: VP4O12
Source: the Materials Project database
Functional: GGA+U
Structure: relaxed

The structure in POSCAR format:
```
VP4O12
1.0
6.844 4.854 0.000
-6.844 4.854 0.000
0.000 1.850 7.567
O P V
24 8 2
Cartesian
1.533 5.317 1.892 O
0.391 2.598 6.263 O
1.507 7.773 2.386 O
1.985 6.303 7.066 O
-0.391 8.960 1.304 O
-1.985 5.255 0.501 O
-5.099 5.482 7.531 O
5.099 4.557 3.747 O
-3.687 5.017 5.228 O
0.391 9.885 5.088 O
-1.985 5.378 3.282 O
3.687 6.542 2.339 O
-3.687 7.467 6.122 O
1.985 6.180 4.285 O
-1.533 6.242 5.675 O
-1.507 3.786 5.180 O
5.082 6.242 5.675 O
1.507 2.861 1.397 O
-1.507 8.698 6.170 O
-5.082 5.317 1.892 O
-5.099 7.002 3.820 O
-0.391 1.673 2.479 O
5.099 6.077 0.036 O
3.687 4.092 1.445 O
-1.120 9.748 5.078 P
1.120 1.810 2.489 P
-2.221 7.330 6.648 P
-2.221 5.153 4.702 P
1.120 8.823 1.295 P
2.221 4.228 0.919 P
2.221 6.405 2.865 P
-1.120 2.735 6.272 P
-5.023 6.242 5.675 V
5.023 5.317 1.892 V
```

Symmetry   C2/c
Energy relative to the lowest polymorph listed for this composition   18 meV/atom


Entry 2:
Compound: V3P3O13
Source: the Materials Project database
Functional: GGA+U
Structure: relaxed

The structure in POSCAR format:
```
V3P3O13
1.0
6.377 0.000 0.000
0.000 7.627 0.000
0.000 1.619 10.253
O V P
26 6 6
Cartesian
6.029 5.180 2.198 O
1.594 3.930 0.592 O
4.782 1.086 6.062 O
1.594 2.603 6.404 O
4.782 6.260 7.488 O
6.056 7.524 9.314 O
3.536 5.180 2.198 O
4.782 7.221 1.365 O
3.509 7.524 9.314 O
1.594 2.986 2.764 O
4.782 6.643 3.848 O
2.855 6.638 5.785 O
6.043 2.607 4.468 O
3.522 2.607 4.468 O
4.782 3.591 6.398 O
1.594 8.160 4.191 O
2.841 4.066 8.055 O
0.321 1.722 0.939 O
4.782 5.316 9.660 O
2.867 1.722 0.939 O
1.594 5.655 3.855 O
0.348 4.066 8.055 O
4.782 2.473 9.274 O
1.594 2.025 8.888 O
1.594 6.773 0.979 O
0.334 6.638 5.785 O
4.782 6.932 5.694 V
4.782 4.020 8.290 V
1.594 2.314 4.559 V
0.000 0.000 0.000 V
1.594 5.226 1.963 V
3.188 0.000 0.000 V
4.782 6.742 8.991 P
1.594 2.504 1.262 P
4.782 6.035 2.387 P
1.594 6.746 4.920 P
4.782 2.500 5.332 P
1.594 3.211 7.866 P
```

Symmetry   P2_1/m


Entry 3:
Compound: VP4O12
Source: the Materials Project database
Functional: GGA+U
Structure: relaxed

The structure in POSCAR format:
```
VP4O12
1.0
2.226 -6.611 4.635
3.756 -7.042 -2.541
9.372 -0.963 2.056
O P V
24 8 2
Cartesian
11.707 -6.689 2.281 O
6.333 -8.375 0.432 O
11.353 -9.469 1.999 O
11.082 -6.222 5.389 O
7.710 -1.736 2.153 O
4.000 -5.148 2.151 O
11.537 -10.932 3.948 O
7.475 -6.044 -0.697 O
7.190 -10.545 1.333 O
7.878 -8.572 4.847 O
3.189 -1.301 0.353 O
8.582 -8.479 1.722 O
3.815 -3.685 0.202 O
8.163 -4.071 2.817 O
4.911 -5.922 -0.018 O
10.442 -8.694 4.168 O
6.265 -8.874 2.857 O
3.646 -7.927 1.869 O
6.771 -6.137 2.428 O
12.163 -13.315 3.797 O
9.088 -5.742 1.292 O
7.642 -12.880 1.996 O
4.271 -8.394 -1.240 O
9.020 -6.242 3.717 O
8.146 -5.663 2.594 P
3.670 -5.240 0.579 P
12.168 -9.610 0.650 P
11.683 -9.376 3.570 P
6.458 -8.840 4.428 P
7.207 -8.953 1.556 P
8.895 -5.776 -0.278 P
3.184 -5.007 3.500 P
5.878 -7.220 -0.993 V
9.475 -7.396 5.143 V
```

Symmetry   C2/c
Energy relative to the lowest polymorph listed for this composition   33 meV/atom


Entry 4:
Compound: VP2O7
Source: the Materials Project database
Functional: GGA+U
Structure: relaxed

The structure in POSCAR format:
```
VP2O7
1.0
8.150 0.000 0.000
0.000 7.077 0.000
0.000 3.762 8.195
O P V
28 8 4
Cartesian
3.164 8.749 5.570 O
4.780 3.375 7.210 O
3.268 4.732 0.655 O
2.823 6.701 3.236 O
7.239 3.971 6.723 O
7.444 1.494 3.112 O
0.807 6.613 4.752 O
1.252 8.582 7.334 O
0.705 9.345 5.083 O
3.369 7.464 0.985 O
4.882 6.106 7.540 O
6.296 6.377 4.308 O
7.231 6.911 6.789 O
5.929 4.496 0.210 O
0.919 3.928 1.406 O
1.854 4.462 3.887 O
1.959 1.849 2.593 O
3.156 5.809 5.504 O
5.327 4.137 4.959 O
4.994 5.030 2.691 O
6.191 8.990 5.602 O
6.898 2.256 0.861 O
6.034 7.109 1.504 O
2.116 3.730 6.691 O
7.343 4.225 3.443 O
4.985 2.090 2.625 O
2.221 6.343 7.985 O
0.910 6.868 1.473 O
1.932 9.361 6.091 P
2.142 7.480 1.993 P
6.217 1.478 2.104 P
2.111 5.886 4.405 P
6.039 4.953 3.790 P
1.964 4.005 0.308 P
6.007 3.359 6.202 P
6.186 6.834 7.888 P
4.826 5.850 0.918 V
7.399 7.732 5.015 V
0.751 3.107 3.180 V
3.324 4.988 7.278 V
```

Symmetry   P2_1/c
Energy relative to the lowest polymorph listed for this composition   106 meV/atom


Entry 5:
Compound: VP2O7
Source: the Materials Project database
Functional: GGA+U
Structure: relaxed

The structure in POSCAR format:
```
VP2O7
1.0
4.327 -0.046 1.144
1.623 7.726 2.215
-0.056 -0.020 8.374
O P V
14 4 2
Cartesian
1.546 2.025 9.025 O
4.372 1.833 7.731 O
0.392 1.504 2.824 O
2.613 1.786 5.242 O
2.051 3.793 7.040 O
4.035 3.843 4.518 O
2.719 2.535 2.822 O
1.623 5.902 3.874 O
2.390 0.109 2.151 O
3.650 5.954 6.265 O
3.255 5.112 8.873 O
3.515 7.607 9.365 O
4.298 5.794 2.682 O
5.506 6.089 8.914 O
1.793 1.466 2.038 P
4.069 6.267 9.664 P
3.497 2.481 4.243 P
1.876 4.731 8.210 P
1.618 1.846 6.990 V
4.323 5.858 4.782 V
```

Symmetry   P1
Energy relative to the lowest polymorph listed for this composition   267 meV/atom


Entry 6:
Compound: V4P3O15
Source: the Materials Project database
Functional: GGA+U
Structure: relaxed

The structure in POSCAR format:
```
V4P3O15
1.0
-6.034 -3.797 -1.943
7.114 0.624 -9.265
5.684 -18.573 4.586
O V P
90 24 18
Cartesian
0.830 -4.052 -10.262 O
1.453 -15.083 -1.780 O
-0.011 -2.646 -4.861 O
9.501 -9.691 -5.796 O
-2.892 -1.820 -0.931 O
8.123 -12.941 -2.054 O
4.511 -8.527 -6.091 O
-0.096 -9.985 -3.740 O
2.430 -1.926 -6.034 O
1.784 -3.805 0.136 O
-0.469 -3.421 -0.879 O
9.949 -12.386 -6.292 O
8.141 -15.208 -3.795 O
1.657 -7.726 0.529 O
3.068 -6.816 -4.993 O
-2.227 -5.536 -1.981 O
4.491 -0.824 -7.048 O
5.801 -17.418 -0.432 O
5.950 -13.587 -3.969 O
5.004 -3.496 -4.536 O
0.146 -6.402 -4.430 O
-4.186 -3.901 -2.221 O
4.110 -11.095 -8.177 O
-0.686 -10.763 -0.164 O
4.545 -19.491 1.158 O
6.747 -10.216 -5.833 O
6.226 -15.115 -6.704 O
-0.564 -14.345 0.481 O
6.559 -17.739 -5.423 O
5.324 -18.500 -2.663 O
4.197 -16.116 -5.267 O
6.795 -2.611 -6.965 O
2.191 -4.407 -4.811 O
3.973 -9.040 0.486 O
2.074 -11.644 -6.748 O
7.298 -5.299 -7.722 O
-2.092 -5.468 -5.096 O
6.003 -8.616 -3.573 O
7.346 -18.492 1.454 O
7.174 -20.219 -5.616 O
3.726 -6.831 -0.712 O
5.896 -6.294 -4.652 O
3.661 -13.108 -1.803 O
3.912 -14.233 0.409 O
3.368 -20.426 -0.898 O
1.438 -15.206 1.736 O
1.998 -11.743 -3.756 O
1.349 -11.471 1.136 O
8.004 -11.790 -4.310 O
7.095 -12.768 -6.510 O
1.645 -2.483 -1.974 O
3.850 -16.692 1.594 O
2.247 -9.176 -5.093 O
4.383 -19.726 -4.885 O
4.422 -4.947 -6.713 O
3.553 -17.121 -1.507 O
6.538 -16.108 1.657 O
7.932 -19.032 -3.481 O
3.701 -6.000 -8.908 O
5.959 -13.505 -0.900 O
1.650 -10.188 -1.002 O
1.428 -18.862 1.846 O
-3.010 -9.249 -0.273 O
4.369 -12.025 -5.858 O
6.813 -7.724 -7.268 O
4.274 -3.551 -8.809 O
5.268 -18.112 3.426 O
-0.860 -18.214 1.024 O
0.822 -12.535 -1.118 O
1.206 -17.512 -0.273 O
5.278 -11.002 -3.472 O
4.533 -11.783 0.205 O
0.357 -2.663 -7.772 O
-0.067 -4.975 -6.521 O
-2.019 -3.249 -3.414 O
2.336 -7.837 -7.196 O
7.765 -15.329 -0.782 O
2.175 -4.411 -7.651 O
3.768 -5.578 -2.916 O
3.837 -9.264 -2.392 O
-1.586 -8.242 -2.691 O
9.394 -16.964 -5.046 O
1.678 -7.614 -2.374 O
10.260 -14.619 -5.057 O
5.572 -16.001 -2.527 O
8.487 -18.022 -1.209 O
1.124 -4.963 -2.021 O
2.781 -14.326 -4.194 O
0.003 -13.606 -3.292 O
-0.686 -7.401 -0.311 O
-2.311 -7.108 -1.314 V
2.511 -8.464 -1.203 V
3.287 -14.842 2.138 V
-2.333 -3.480 -1.340 V
6.061 -19.706 -3.948 V
7.739 -16.811 0.077 V
5.181 -17.697 1.520 V
1.986 -13.225 -2.737 V
1.796 -5.975 -3.530 V
6.017 -12.171 -4.850 V
6.868 -14.575 -2.479 V
-3.411 -4.627 -3.997 V
2.359 -7.607 -9.119 V
1.712 -16.762 -1.972 V
0.330 -4.836 -8.544 V
8.524 -18.625 -5.465 V
-0.704 -13.871 -1.365 V
5.498 -16.887 -6.459 V
1.308 -3.498 -5.963 V
4.491 -5.335 -4.829 V
-2.570 -10.875 -0.580 V
6.372 -8.564 -5.609 V
8.600 -11.332 -6.277 V
1.188 -10.778 -5.040 V
7.109 -14.080 -7.407 P
-1.518 -9.546 -3.476 P
3.554 -12.081 -7.146 P
3.677 -4.693 -8.018 P
3.016 -0.674 -6.688 P
9.532 -15.712 -4.174 P
0.611 -18.610 0.599 P
2.789 -15.655 -4.914 P
4.471 -13.141 -0.503 P
0.778 -11.195 -0.258 P
-5.679 -3.573 -1.828 P
4.333 -20.702 0.256 P
5.246 -9.700 -2.710 P
5.046 -17.255 -1.820 P
0.175 -7.338 0.953 P
-0.778 -6.061 -5.604 P
1.003 -3.660 -1.232 P
3.047 -8.130 -5.875 P
```

Symmetry   Fdd2


The following volume values (in Å³/cell) correspond, in order, to the records above: 502.8, 498.6, 459.9, 472.6, 281.2, 1608.4.
The following ΔH_f (0 K) values (in eV per atom) correspond, in order, to the records above: -2.527, -2.556, -2.513, -2.522, -2.361, -2.601.